(a)
Computed, not measured: RbHfMg6O7 after structural relaxation at the GGA-PBE level of DFT.

Cell: 4.229 4.229 12.568 Å, 90.00 90.00 90.00°
Space group P4mm (No. 99)
One atom of each set of equivalent atoms:
Rb  0.000  0.000  0.000 (multiplicity 1)
Hf  0.000  0.000  0.504 (multiplicity 1)
Mg  0.000  0.500  0.300 (multiplicity 2)
Mg  0.000  0.500  0.713 (multiplicity 2)
Mg  0.500  0.500  0.500 (multiplicity 1)
Mg  0.500  0.500  0.870 (multiplicity 1)
O  0.000  0.000  0.660 (multiplicity 1)
O  0.000  0.500  0.492 (multiplicity 2)
O  0.000  0.500  0.865 (multiplicity 2)
O  0.500  0.500  0.328 (multiplicity 1)
O  0.500  0.500  0.670 (multiplicity 1)

Output
The calculation puts the volume at 225 Å³/f.u.

(b)
Computed, not measured: RbHfMg6O7 after structural relaxation at the GGA-PBE level of DFT.

Cell: 4.111 4.111 13.058 Å, 90.00 90.00 90.00°
Space group P4mm (No. 99)
One atom of each set of equivalent atoms:
Rb  0.000  0.000  0.000 (multiplicity 1)
Hf  0.500  0.500  0.843 (multiplicity 1)
Mg  0.000  0.000  0.458 (multiplicity 1)
Mg  0.000  0.500  0.267 (multiplicity 2)
Mg  0.000  0.500  0.653 (multiplicity 2)
Mg  0.500  0.500  0.464 (multiplicity 1)
O  0.000  0.000  0.609 (multiplicity 1)
O  0.000  0.500  0.423 (multiplicity 2)
O  0.000  0.500  0.806 (multiplicity 2)
O  0.500  0.500  0.620 (multiplicity 1)
O  0.500  0.500  0.988 (multiplicity 1)

Output
The calculation puts the volume at 221 Å³/f.u.

Stability summary - winner: (b); margin: 138 meV/atom.

(a)
Computed, not measured: RbHfMg6O7 after structural relaxation at the GGA-PBE level of DFT.

Cell: 4.232 4.232 12.658 Å, 90.00 90.00 90.00°
Space group P4mm (No. 99)
One atom of each set of equivalent atoms:
Rb  0.000  0.000  0.000 (multiplicity 1)
Hf  0.000  0.000  0.496 (multiplicity 1)
Mg  0.000  0.500  0.284 (multiplicity 2)
Mg  0.000  0.500  0.715 (multiplicity 2)
Mg  0.500  0.500  0.521 (multiplicity 1)
Mg  0.500  0.500  0.872 (multiplicity 1)
O  0.000  0.000  0.326 (multiplicity 1)
O  0.000  0.000  0.656 (multiplicity 1)
O  0.000  0.500  0.493 (multiplicity 2)
O  0.000  0.500  0.867 (multiplicity 2)
O  0.500  0.500  0.680 (multiplicity 1)

Output
The calculation puts the volume at 227 Å³/f.u.

(b)
Computed, not measured: RbHfMg6O7 after structural relaxation at the GGA-PBE level of DFT.

Cell: 4.179 4.179 12.213 Å, 90.00 90.00 90.00°
Space group P4mm (No. 99)
One atom of each set of equivalent atoms:
Rb  0.000  0.000  0.000 (multiplicity 1)
Hf  0.500  0.500  0.821 (multiplicity 1)
Mg  0.000  0.000  0.450 (multiplicity 1)
Mg  0.000  0.500  0.271 (multiplicity 2)
Mg  0.000  0.500  0.635 (multiplicity 2)
Mg  0.500  0.500  0.455 (multiplicity 1)
O  0.000  0.000  0.268 (multiplicity 1)
O  0.000  0.000  0.615 (multiplicity 1)
O  0.000  0.500  0.447 (multiplicity 2)
O  0.000  0.500  0.813 (multiplicity 2)
O  0.500  0.500  0.640 (multiplicity 1)

Output
The calculation puts the volume at 213 Å³/f.u.

Stability summary - winner: (b); margin: 140 meV/atom.

(a)
Computed, not measured: RbHfMg14O15 after structural relaxation at the GGA-PBE level of DFT.

Cell: 4.141 8.437 10.791 Å, 90.00 90.00 90.00°
Space group Pmm2 (No. 25)
One atom of each set of equivalent atoms:
Rb  0.000  0.000  0.000 (multiplicity 1)
Hf  0.000  0.500  0.058 (multiplicity 1)
Mg  0.000  0.000  0.543 (multiplicity 1)
Mg  0.000  0.242  0.748 (multiplicity 2)
Mg  0.000  0.248  0.339 (multiplicity 2)
Mg  0.000  0.500  0.537 (multiplicity 1)
Mg  0.500  0.000  0.337 (multiplicity 1)
Mg  0.500  0.000  0.736 (multiplicity 1)
Mg  0.500  0.235  0.148 (multiplicity 2)
Mg  0.500  0.255  0.549 (multiplicity 2)
Mg  0.500  0.500  0.330 (multiplicity 1)
Mg  0.500  0.500  0.788 (multiplicity 1)
O  0.000  0.000  0.358 (multiplicity 1)
O  0.000  0.000  0.745 (multiplicity 1)
O  0.000  0.255  0.554 (multiplicity 2)
O  0.000  0.281  0.129 (multiplicity 2)
O  0.000  0.500  0.351 (multiplicity 1)
O  0.500  0.000  0.146 (multiplicity 1)
O  0.500  0.000  0.547 (multiplicity 1)
O  0.500  0.246  0.755 (multiplicity 2)
O  0.500  0.254  0.340 (multiplicity 2)
O  0.500  0.500  0.129 (multiplicity 1)
O  0.500  0.500  0.564 (multiplicity 1)

Output
The calculation puts the volume at 377 Å³/f.u.

(b)
Computed, not measured: RbHfMg14O15 after structural relaxation at the GGA-PBE level of DFT.

Cell: 4.431 8.891 8.707 Å, 90.00 90.00 90.00°
Space group Pmm2 (No. 25)
One atom of each set of equivalent atoms:
Rb  0.000  0.000  0.000 (multiplicity 1)
Hf  0.000  0.500  0.539 (multiplicity 1)
Mg  0.000  0.000  0.552 (multiplicity 1)
Mg  0.000  0.236  0.288 (multiplicity 2)
Mg  0.000  0.262  0.799 (multiplicity 2)
Mg  0.000  0.500  0.053 (multiplicity 1)
Mg  0.500  0.000  0.299 (multiplicity 1)
Mg  0.500  0.000  0.780 (multiplicity 1)
Mg  0.500  0.241  0.544 (multiplicity 2)
Mg  0.500  0.251  0.052 (multiplicity 2)
Mg  0.500  0.500  0.287 (multiplicity 1)
Mg  0.500  0.500  0.807 (multiplicity 1)
O  0.000  0.000  0.321 (multiplicity 1)
O  0.000  0.260  0.542 (multiplicity 2)
O  0.000  0.279  0.048 (multiplicity 2)
O  0.000  0.500  0.298 (multiplicity 1)
O  0.000  0.500  0.789 (multiplicity 1)
O  0.500  0.000  0.073 (multiplicity 1)
O  0.500  0.000  0.541 (multiplicity 1)
O  0.500  0.254  0.300 (multiplicity 2)
O  0.500  0.255  0.797 (multiplicity 2)
O  0.500  0.500  0.047 (multiplicity 1)
O  0.500  0.500  0.544 (multiplicity 1)

Output
The calculation puts the volume at 343 Å³/f.u.

Stability summary - winner: (a); margin: 80 meV/atom.

(a)
Computed, not measured: RbHfMg14O15 after structural relaxation at the GGA-PBE level of DFT.

Cell: 4.173 7.835 12.451 Å, 90.00 90.00 90.00°
Space group Pmm2 (No. 25)
One atom of each set of equivalent atoms:
Rb  0.000  0.000  0.000 (multiplicity 1)
Hf  0.000  0.500  0.025 (multiplicity 1)
Mg  0.000  0.000  0.530 (multiplicity 1)
Mg  0.000  0.258  0.304 (multiplicity 2)
Mg  0.000  0.262  0.750 (multiplicity 2)
Mg  0.000  0.500  0.521 (multiplicity 1)
Mg  0.500  0.000  0.312 (multiplicity 1)
Mg  0.500  0.000  0.741 (multiplicity 1)
Mg  0.500  0.247  0.140 (multiplicity 2)
Mg  0.500  0.262  0.582 (multiplicity 2)
Mg  0.500  0.500  0.361 (multiplicity 1)
Mg  0.500  0.500  0.833 (multiplicity 1)
O  0.000  0.000  0.361 (multiplicity 1)
O  0.000  0.260  0.582 (multiplicity 2)
O  0.000  0.308  0.131 (multiplicity 2)
O  0.000  0.500  0.361 (multiplicity 1)
O  0.000  0.500  0.854 (multiplicity 1)
O  0.500  0.000  0.144 (multiplicity 1)
O  0.500  0.000  0.568 (multiplicity 1)
O  0.500  0.261  0.302 (multiplicity 2)
O  0.500  0.276  0.749 (multiplicity 2)
O  0.500  0.500  0.016 (multiplicity 1)
O  0.500  0.500  0.522 (multiplicity 1)

Output
The calculation puts the volume at 407 Å³/f.u.

(b)
Computed, not measured: RbHfMg14O15 after structural relaxation at the GGA-PBE level of DFT.

Cell: 4.371 8.725 9.069 Å, 90.00 90.00 90.00°
Space group Pmm2 (No. 25)
One atom of each set of equivalent atoms:
Rb  0.000  0.000  0.000 (multiplicity 1)
Hf  0.000  0.500  0.537 (multiplicity 1)
Mg  0.000  0.000  0.521 (multiplicity 1)
Mg  0.000  0.242  0.273 (multiplicity 2)
Mg  0.000  0.246  0.787 (multiplicity 2)
Mg  0.000  0.500  0.048 (multiplicity 1)
Mg  0.500  0.000  0.291 (multiplicity 1)
Mg  0.500  0.000  0.753 (multiplicity 1)
Mg  0.500  0.245  0.043 (multiplicity 2)
Mg  0.500  0.245  0.526 (multiplicity 2)
Mg  0.500  0.500  0.276 (multiplicity 1)
Mg  0.500  0.500  0.801 (multiplicity 1)
O  0.000  0.000  0.307 (multiplicity 1)
O  0.000  0.000  0.732 (multiplicity 1)
O  0.000  0.261  0.531 (multiplicity 2)
O  0.000  0.280  0.038 (multiplicity 2)
O  0.000  0.500  0.292 (multiplicity 1)
O  0.500  0.000  0.080 (multiplicity 1)
O  0.500  0.000  0.525 (multiplicity 1)
O  0.500  0.235  0.788 (multiplicity 2)
O  0.500  0.255  0.290 (multiplicity 2)
O  0.500  0.500  0.039 (multiplicity 1)
O  0.500  0.500  0.509 (multiplicity 1)

Output
The calculation puts the volume at 346 Å³/f.u.

Stability summary - winner: (a); margin: 86 meV/atom.

(a)
Computed, not measured: HfMg6SbO8 after structural relaxation at the GGA-PBE level of DFT.

Cell: 4.319 4.319 10.616 Å, 90.00 90.00 90.00°
Space group P4/mmm (No. 123)
One atom of each set of equivalent atoms:
Hf  0.000  0.000  0.000 (multiplicity 1)
Mg  0.000  0.500  0.271 (multiplicity 4)
Mg  0.500  0.500  0.000 (multiplicity 1)
Mg  0.500  0.500  0.500 (multiplicity 1)
Sb  0.000  0.000  0.500 (multiplicity 1)
O  0.000  0.000  0.195 (multiplicity 2)
O  0.000  0.500  0.000 (multiplicity 2)
O  0.000  0.500  0.500 (multiplicity 2)
O  0.500  0.500  0.291 (multiplicity 2)

Output
The calculation puts the volume at 198 Å³/f.u.

(b)
Computed, not measured: HfMg6SbO8 after structural relaxation at the GGA-PBE level of DFT.

Cell: 4.359 4.359 9.950 Å, 90.00 90.00 90.00°
Space group P4/mmm (No. 123)
One atom of each set of equivalent atoms:
Hf  0.000  0.000  0.000 (multiplicity 1)
Mg  0.000  0.000  0.500 (multiplicity 1)
Mg  0.000  0.500  0.280 (multiplicity 4)
Mg  0.500  0.500  0.500 (multiplicity 1)
Sb  0.500  0.500  0.000 (multiplicity 1)
O  0.000  0.000  0.244 (multiplicity 2)
O  0.000  0.500  0.000 (multiplicity 2)
O  0.000  0.500  0.500 (multiplicity 2)
O  0.500  0.500  0.302 (multiplicity 2)

Output
The calculation puts the volume at 189 Å³/f.u.

Stability summary - winner: (a); margin: 76 meV/atom.

(a)
Computed, not measured: HfMg6ZnO8 after structural relaxation at the GGA-PBE level of DFT.

Cell: 4.348 4.348 8.995 Å, 90.00 90.00 90.00°
Space group P4/mmm (No. 123)
One atom of each set of equivalent atoms:
Hf  0.000  0.000  0.000 (multiplicity 1)
Mg  0.000  0.500  0.263 (multiplicity 4)
Mg  0.500  0.500  0.000 (multiplicity 1)
Mg  0.500  0.500  0.500 (multiplicity 1)
Zn  0.000  0.000  0.500 (multiplicity 1)
O  0.000  0.000  0.241 (multiplicity 2)
O  0.000  0.500  0.000 (multiplicity 2)
O  0.000  0.500  0.500 (multiplicity 2)
O  0.500  0.500  0.248 (multiplicity 2)

Output
The calculation puts the volume at 170 Å³/f.u.

(b)
Computed, not measured: HfMg6ZnO8 after structural relaxation at the GGA-PBE level of DFT.

Cell: 4.349 4.349 8.907 Å, 90.00 90.00 90.00°
Space group P4/mmm (No. 123)
One atom of each set of equivalent atoms:
Hf  0.000  0.000  0.000 (multiplicity 1)
Mg  0.000  0.000  0.500 (multiplicity 1)
Mg  0.000  0.500  0.261 (multiplicity 4)
Mg  0.500  0.500  0.500 (multiplicity 1)
Zn  0.500  0.500  0.000 (multiplicity 1)
O  0.000  0.000  0.256 (multiplicity 2)
O  0.000  0.500  0.000 (multiplicity 2)
O  0.000  0.500  0.500 (multiplicity 2)
O  0.500  0.500  0.268 (multiplicity 2)

Output
The calculation puts the volume at 168 Å³/f.u.

Stability summary - winner: (b); margin: 7 meV/atom.